# 1
The following is a PBE+U calculation of a relaxed Mg2MnH24Cl6O12 crystal, from the Materials Project database.

Properties
space-group type	P31c (159)

Lattice parameters (Å, degrees): 9.9478 9.9478 11.5958 90.00 90.00 120.00
Element x y z (fractional)
Mg 0.3333 0.6667 0.9986
Mg 0.6667 0.3333 0.4986
Mg 0.0000 0.0000 0.6016
Mg 0.0000 0.0000 0.1016
Mn 0.3333 0.6667 0.5026
Mn 0.6667 0.3333 0.0026
H 0.4652 0.5038 0.9084
H 0.4962 0.9615 0.9084
H 0.0385 0.5348 0.9084
H 0.5038 0.4652 0.4084
H 0.9615 0.4962 0.4084
H 0.5348 0.0385 0.4084
H 0.4755 0.6182 0.8129
H 0.3818 0.8572 0.8129
H 0.1428 0.5245 0.8129
H 0.6182 0.4755 0.3129
H 0.8572 0.3818 0.3129
H 0.5245 0.1428 0.3129
H 0.5382 0.9166 0.1134
H 0.0834 0.6215 0.1134
H 0.3785 0.4618 0.1134
H 0.9166 0.5382 0.6134
H 0.6215 0.0834 0.6134
H 0.4618 0.3785 0.6134
H 0.5326 0.7837 0.1870
H 0.2163 0.7490 0.1870
H 0.2510 0.4674 0.1870
H 0.7837 0.5326 0.6870
H 0.7490 0.2163 0.6870
H 0.4674 0.2510 0.6870
H 0.8876 0.1805 0.5191
H 0.8195 0.7072 0.5191
H 0.2928 0.1124 0.5191
H 0.1805 0.8876 0.0191
H 0.7072 0.8195 0.0191
H 0.1124 0.2928 0.0191
H 0.0427 0.2240 0.4521
H 0.7760 0.8187 0.4521
H 0.1813 0.9573 0.4521
H 0.2240 0.0427 0.9521
H 0.8187 0.7760 0.9521
H 0.9573 0.1813 0.9521
H 0.7058 0.8343 0.6924
H 0.1657 0.8714 0.6924
H 0.1286 0.2942 0.6924
H 0.8343 0.7058 0.1924
H 0.8714 0.1657 0.1924
H 0.2942 0.1286 0.1924
H 0.7929 0.9864 0.7708
H 0.0136 0.8065 0.7708
H 0.1935 0.2071 0.7708
H 0.9864 0.7929 0.2708
H 0.8065 0.0136 0.2708
H 0.2071 0.1935 0.2708
Cl 0.5053 0.6113 0.6353
Cl 0.3887 0.8940 0.6353
Cl 0.1060 0.4947 0.6353
Cl 0.6113 0.5053 0.1353
Cl 0.8940 0.3887 0.1353
Cl 0.4947 0.1060 0.1353
Cl 0.2557 0.4264 0.3752
Cl 0.5736 0.8293 0.3752
Cl 0.1707 0.7443 0.3752
Cl 0.4264 0.2557 0.8752
Cl 0.8293 0.5736 0.8752
Cl 0.7443 0.1707 0.8752
O 0.4643 0.6015 0.8977
O 0.3985 0.8628 0.8977
O 0.1372 0.5357 0.8977
O 0.6015 0.4643 0.3977
O 0.8628 0.3985 0.3977
O 0.5357 0.1372 0.3977
O 0.5261 0.8116 0.1058
O 0.1884 0.7145 0.1058
O 0.2855 0.4739 0.1058
O 0.8116 0.5261 0.6058
O 0.7145 0.1884 0.6058
O 0.4739 0.2855 0.6058
O 0.9536 0.1389 0.4925
O 0.8611 0.8147 0.4925
O 0.1853 0.0464 0.4925
O 0.1389 0.9536 0.9925
O 0.8147 0.8611 0.9925
O 0.0464 0.1853 0.9925
O 0.8063 0.9289 0.7077
O 0.0711 0.8775 0.7077
O 0.1225 0.1937 0.7077
O 0.9289 0.8063 0.2077
O 0.8775 0.0711 0.2077
O 0.1937 0.1225 0.2077


# 2
The following is a PBE+U calculation of a relaxed KFeBiWO6 crystal, from the Materials Project database.

Properties
space-group type	F-43m (216)

Lattice parameters (Å, degrees): 5.6609 5.6609 5.6609 60.00 60.00 60.00
Element x y z (fractional)
K 0.7500 0.7500 0.7500
Fe 0.0000 0.0000 0.0000
Bi 0.2500 0.2500 0.2500
W 0.5000 0.5000 0.5000
O 0.7448 0.2552 0.2552
O 0.2552 0.7448 0.7448
O 0.7448 0.2552 0.7448
O 0.2552 0.7448 0.2552
O 0.7448 0.7448 0.2552
O 0.2552 0.2552 0.7448


# 3
The following is a PBE+U calculation of a relaxed V2P4PbO14 crystal, from the Materials Project database.

Properties
space-group type	P-1 (2)

Lattice parameters (Å, degrees): 4.8906 7.2192 8.0665 89.61 92.85 106.27
Element x y z (fractional)
V 0.5000 0.5000 0.5000
V 0.0000 0.0000 0.0000
P 0.0234 0.6151 0.2519
P 0.9766 0.3849 0.7481
P 0.6169 0.2273 0.2044
P 0.3831 0.7727 0.7956
Pb 0.0000 0.0000 0.5000
O 0.7996 0.4422 0.1513
O 0.2004 0.5578 0.8487
O 0.5198 0.2398 0.3835
O 0.4802 0.7602 0.6165
O 0.2906 0.5536 0.2965
O 0.7094 0.4464 0.7035
O 0.8721 0.6502 0.4098
O 0.1819 0.9042 0.7938
O 0.8181 0.0958 0.2062
O 0.9155 0.2061 0.8533
O 0.0845 0.7939 0.1467
O 0.6214 0.8255 0.9283
O 0.3786 0.1745 0.0717
O 0.1279 0.3498 0.5902


# 4
The following is a PBE+U calculation of a relaxed RbLaW2O8 crystal, from the Materials Project database.

Properties
space-group type	C2/m (12)

Lattice parameters (Å, degrees): 7.6230 7.6230 7.7564 66.37 66.37 92.29
Element x y z (fractional)
Rb 0.3140 0.3140 0.5335
Rb 0.6860 0.6860 0.4665
La 0.2987 0.7013 0.0000
La 0.7013 0.2987 0.0000
W 0.2011 0.2011 0.0683
W 0.7989 0.7989 0.9317
W 0.8389 0.1611 0.5000
W 0.1611 0.8389 0.5000
O 0.9848 0.9848 0.3473
O 0.0152 0.0152 0.6527
O 0.2912 0.0382 0.9491
O 0.9618 0.7088 0.0509
O 0.7088 0.9618 0.0509
O 0.0382 0.2912 0.9491
O 0.5816 0.5816 0.0944
O 0.4184 0.4184 0.9056
O 0.9105 0.6570 0.7337
O 0.3430 0.0895 0.2663
O 0.0895 0.3430 0.2663
O 0.6570 0.9105 0.7337
O 0.7834 0.3063 0.6441
O 0.6937 0.2166 0.3559
O 0.2166 0.6937 0.3559
O 0.3063 0.7834 0.6441


# 5
The following is a PBE+U calculation of a relaxed Li6V3P8O29 crystal, from the Materials Project database.

Properties
energy relative to the lowest polymorph listed for this composition	0.006	eV/atom
space-group type	P1 (1)

Lattice parameters (Å, degrees): 9.7978 9.8012 13.9627 90.27 89.98 119.91
Element x y z (fractional)
Li 0.6706 0.9071 0.9384
Li 0.6664 0.7621 0.4381
Li 0.2403 0.9060 0.4398
Li 0.3354 0.6610 0.1144
Li 0.0884 0.7660 0.9387
Li 0.2314 0.3242 0.9365
Li 0.9025 0.6671 0.5600
Li 0.0996 0.3390 0.4396
Li 0.7662 0.1000 0.5602
Li 0.3322 0.0991 0.0577
Li 0.9558 0.9888 0.0038
Li 0.0540 0.0374 0.5057
V 0.9997 0.5625 0.7532
V 0.9970 0.4348 0.2461
V 0.5628 0.5596 0.2505
V 0.4390 0.4366 0.7486
V 0.5658 0.0003 0.7496
V 0.4382 0.0015 0.2522
P 0.6847 0.9052 0.1574
P 0.6869 0.7722 0.6551
P 0.2243 0.9099 0.6577
P 0.3354 0.6664 0.8726
P 0.3312 0.6659 0.3702
P 0.0924 0.7786 0.1561
P 0.9165 0.6908 0.3416
P 0.2245 0.3133 0.1555
P 0.7787 0.6967 0.8408
P 0.0864 0.3121 0.6573
P 0.9140 0.2202 0.8422
P 0.6691 0.3350 0.6319
P 0.6632 0.3306 0.1299
P 0.7763 0.0863 0.3417
P 0.3045 0.2224 0.3422
P 0.3125 0.0871 0.8417
O 0.7748 0.9976 0.4307
O 0.6661 0.9191 0.6582
O 0.7994 0.8077 0.9212
O 0.6573 0.7381 0.1637
O 0.5216 0.8950 0.1710
O 0.4891 0.8109 0.8335
O 0.3818 0.9112 0.6714
O 0.2252 0.9986 0.9306
O 0.2606 0.9240 0.1600
O 0.4857 0.6751 0.3302
O 0.5281 0.6220 0.6700
O 0.3237 0.8126 0.3294
O 0.3376 0.6654 0.9808
O 0.3270 0.6662 0.4772
O 0.1904 0.6766 0.8350
O 0.3735 0.4785 0.1698
O 0.3256 0.5123 0.8318
O 0.0825 0.7401 0.6617
O 0.0025 0.7960 0.2479
O 0.0050 0.7825 0.4303
O 0.0117 0.7817 0.0659
O 0.1085 0.6290 0.1687
O 0.1867 0.5136 0.3266
O 0.9166 0.6603 0.8408
O 0.0823 0.4670 0.6723
O 0.2540 0.3432 0.6623
O 0.8036 0.7932 0.7418
O 0.7697 0.7705 0.5639
O 0.1937 0.2068 0.4215
O 0.7487 0.6658 0.3417
O 0.9171 0.5355 0.3307
O 0.0815 0.3360 0.1591
O 0.8140 0.4896 0.6725
O 0.9177 0.3777 0.8348
O 0.0036 0.2017 0.9234
O 0.0034 0.2278 0.5652
O 0.9860 0.1960 0.7428
O 0.9168 0.2546 0.3421
O 0.6587 0.4733 0.1788
O 0.6196 0.5450 0.8354
O 0.8133 0.3363 0.1751
O 0.6573 0.3282 0.0239
O 0.6704 0.3372 0.5252
O 0.6778 0.1885 0.6704
O 0.4561 0.3828 0.3374
O 0.5212 0.3316 0.6799
O 0.7405 0.0816 0.8409
O 0.7955 0.0018 0.2477
O 0.7676 0.9854 0.0667
O 0.6191 0.0860 0.3307
O 0.5142 0.1811 0.1719
O 0.4692 0.0906 0.8277
O 0.3347 0.2534 0.8412
O 0.2318 0.2322 0.0646
O 0.2116 0.2004 0.2418
O 0.3371 0.0840 0.3437
O 0.2155 0.9871 0.5669
O 0.2033 0.9988 0.7489


# 6
The following is a PBE+U calculation of a relaxed Rb3HoV2O8 crystal, from the Materials Project database.

Properties
space-group type	P-3m1 (164)

Lattice parameters (Å, degrees): 6.0738 6.0738 7.8721 90.00 90.00 120.00
Element x y z (fractional)
Rb 0.3333 0.6667 0.6887
Rb 0.6667 0.3333 0.3113
Rb 0.0000 0.0000 0.0000
Ho 0.0000 0.0000 0.5000
V 0.3333 0.6667 0.2518
V 0.6667 0.3333 0.7482
O 0.3333 0.6667 0.0385
O 0.6667 0.3333 0.9615
O 0.1750 0.8250 0.3299
O 0.8250 0.1750 0.6701
O 0.1750 0.3500 0.3299
O 0.8250 0.6500 0.6701
O 0.6500 0.8250 0.3299
O 0.3500 0.1750 0.6701


Summary of M_tot in μB per atom
0.1110 0.4175 0.0117 0.0000 0.0652 0.0001
(order as listed above)
Summary of E in eV per cell
-432.39 -63.14 -152.16 -178.24 -645.41 -94.47
(order as listed above)
Summary of calculated formation energy in eV/atom
-1.37 -1.78 -2.49 -2.67 -2.66 -2.72
(order as listed above)